Hf4CuSi4 | PBE-GGA | relaxed

a b c (Å): 5.2159 5.2159 8.6782
angles (deg): 71.53 71.53 42.19
Closest atoms and distances in Å follow each position.
Fractional positions:
Hf (0.1080, 0.1080, 0.6193)  7 Si 2.68-2.88
Hf (0.8920, 0.8920, 0.3807)  7 Si 2.68-2.88
Hf (0.2463, 0.2463, 0.1578)  6 Si 2.71-2.81, 2 Cu 3.03
Hf (0.7537, 0.7537, 0.8422)  6 Si 2.71-2.81, 2 Cu 3.03
Si (0.6153, 0.6153, 0.3864)  2 Si 2.42-2.43, 1 Hf 2.68
Si (0.3847, 0.3847, 0.6136)  2 Si 2.42-2.43, 1 Hf 2.68
Si (0.4623, 0.4623, 0.8501)  2 Cu 2.38, 1 Si 2.42
Si (0.5377, 0.5377, 0.1499)  2 Cu 2.38, 1 Si 2.42
Cu (0.0000, 0.0000, 0.0000)  4 Si 2.38

Output
As for the symmetry: C2/m. The energy of formation comes out at -0.725 eV per atom. The corrected total energy (MP2020 scheme) is -8.02 eV per atom. As for the crystal system: monoclinic.


NaCaAlSi2O7 | PBE-GGA | relaxed

a b c (Å): 11.5044 7.6851 7.8725
angles (deg): 90.00 90.00 90.00
Closest atoms and distances in Å follow each position.
Fractional positions:
O (0.5742, 0.4178, 0.6725)  1 Si 1.65, 1 Al 1.76
O (0.7800, 0.6582, 0.1190)  1 Si 1.59
O (0.5826, 0.5184, 0.9914)  2 Si 1.68-1.75
O (0.7729, 0.3591, 0.8528)  1 Si 1.58
O (0.5828, 0.8461, 0.0999)  1 Si 1.67, 1 Al 1.78
O (0.5902, 0.6017, 0.3243)  1 Si 1.64, 1 Al 1.77
O (0.9172, 0.6539, 0.5999)  1 Si 1.67, 1 Al 1.78
O (0.2271, 0.8591, 0.6472)  1 Si 1.58
O (0.4098, 0.1017, 0.1757)  1 Si 1.64, 1 Al 1.77
O (0.4174, 0.0184, 0.5086)  2 Si 1.68-1.75
O (0.2200, 0.1582, 0.3810)  1 Si 1.59
O (0.4172, 0.3461, 0.4001)  1 Si 1.67, 1 Al 1.78
O (0.2800, 0.3418, 0.8810)  1 Si 1.59
O (0.0742, 0.5822, 0.3275)  1 Si 1.65, 1 Al 1.76
O (0.5609, 0.1914, 0.9212)  1 Si 1.63, 1 Al 1.76
O (0.4391, 0.6914, 0.5788)  1 Si 1.63, 1 Al 1.76
O (0.7200, 0.8418, 0.6190)  1 Si 1.59
O (0.0826, 0.4816, 0.0086)  2 Si 1.68-1.75
O (0.9258, 0.0822, 0.1725)  1 Si 1.65, 1 Al 1.76
O (0.7271, 0.1409, 0.3528)  1 Si 1.58
O (0.2729, 0.6409, 0.1472)  1 Si 1.58
O (0.0828, 0.1539, 0.9001)  1 Si 1.67, 1 Al 1.78
O (0.4258, 0.9178, 0.8275)  1 Si 1.65, 1 Al 1.76
O (0.9098, 0.8983, 0.8243)  1 Si 1.64, 1 Al 1.77
O (0.0609, 0.8086, 0.0788)  1 Si 1.63, 1 Al 1.76
O (0.0902, 0.3983, 0.6757)  1 Si 1.64, 1 Al 1.77
O (0.9391, 0.3086, 0.4212)  1 Si 1.63, 1 Al 1.76
O (0.9174, 0.9816, 0.4914)  2 Si 1.68-1.75
Na (0.4132, 0.2318, 0.7160)  4 O 2.18-2.37
Na (0.9132, 0.7682, 0.2840)  4 O 2.18-2.37
Na (0.5868, 0.7318, 0.7840)  4 O 2.18-2.37
Na (0.0868, 0.2682, 0.2160)  4 O 2.18-2.37
Si (0.8579, 0.8483, 0.6369)  4 O 1.59-1.68
Si (0.1355, 0.6418, 0.1466)  4 O 1.58-1.75
Si (0.6355, 0.3582, 0.8534)  4 O 1.58-1.75
Si (0.6421, 0.6517, 0.1369)  4 O 1.59-1.68
Si (0.3645, 0.8582, 0.6466)  4 O 1.58-1.75
Si (0.1421, 0.3483, 0.8631)  4 O 1.59-1.68
Si (0.3579, 0.1517, 0.3631)  4 O 1.59-1.68
Si (0.8645, 0.1418, 0.3534)  4 O 1.58-1.75
Ca (0.8952, 0.5660, 0.9060)  3 O 2.16-2.39
Ca (0.3952, 0.4340, 0.0940)  3 O 2.16-2.39
Ca (0.1048, 0.0660, 0.5940)  3 O 2.16-2.39
Ca (0.6048, 0.9340, 0.4060)  3 O 2.16-2.39
Al (0.0083, 0.4922, 0.5094)  4 O 1.76-1.78
Al (0.9917, 0.9922, 0.9906)  4 O 1.76-1.78
Al (0.5083, 0.5078, 0.4906)  4 O 1.76-1.78
Al (0.4917, 0.0078, 0.0094)  4 O 1.76-1.78

Output
As for the symmetry: P2_12_12_1. The energy of formation comes out at -3.132 eV per atom. The corrected total energy (MP2020 scheme) is -7.51 eV per atom. The value obtained for the energy above the lowest structure with this stoichiometry is 128.5 meV per atom. As for the crystal system: orthorhombic.


Mg16Al12Sn | PBE-GGA | relaxed

a b c (Å): 9.1511 9.1511 9.1511
angles (deg): 109.43 109.43 109.43
Closest atoms and distances in Å follow each position.
Fractional positions:
Al (0.6319, 0.8167, 0.0047)  3 Al 2.75-2.81, 3 Mg 2.89-3.00
Al (0.8167, 0.0047, 0.6319)  3 Al 2.75-2.81, 3 Mg 2.89-3.00
Al (0.8167, 0.6319, 0.0047)  3 Al 2.75-2.81, 3 Mg 2.89-3.00
Al (0.3626, 0.3626, 0.1757)  3 Al 2.69-2.79, 3 Mg 2.94-2.99
Al (0.0047, 0.8167, 0.6319)  3 Al 2.75-2.81, 3 Mg 2.89-3.00
Al (0.3626, 0.1757, 0.3626)  3 Al 2.69-2.79, 3 Mg 2.94-2.99
Al (0.0047, 0.6319, 0.8167)  3 Al 2.75-2.81, 3 Mg 2.89-3.00
Al (0.6319, 0.0047, 0.8167)  3 Al 2.75-2.81, 3 Mg 2.89-3.00
Al (0.1842, 0.1842, 0.8155)  3 Al 2.69-2.75, 3 Mg 2.93-3.00
Al (0.1842, 0.8155, 0.1842)  3 Al 2.69-2.75, 3 Mg 2.93-3.00
Al (0.1757, 0.3626, 0.3626)  3 Al 2.69-2.79, 3 Mg 2.94-2.99
Al (0.8155, 0.1842, 0.1842)  3 Al 2.69-2.75, 3 Mg 2.93-3.00
Mg (0.3459, 0.9995, 0.9995)  4 Mg 3.05-3.16, 6 Al 3.10-3.13
Mg (0.6840, 0.2857, 0.6840)  5 Al 2.94-3.16, 7 Mg 3.05-3.19
Mg (0.3984, 0.7104, 0.3984)  5 Al 2.93-3.22, 1 Sn 3.08, 6 Mg 3.16-3.17
Mg (0.9995, 0.9995, 0.3459)  4 Mg 3.05-3.16, 6 Al 3.10-3.13
Mg (0.0009, 0.3173, 0.5990)  5 Al 2.89-3.17, 7 Mg 3.05-3.19
Mg (0.0021, 0.0021, 0.0021)  1 Sn 3.08, 3 Mg 3.16, 12 Al 3.17-3.26
Mg (0.3984, 0.3984, 0.7104)  5 Al 2.93-3.22, 1 Sn 3.08, 6 Mg 3.16-3.17
Mg (0.7104, 0.3984, 0.3984)  5 Al 2.93-3.22, 1 Sn 3.08, 6 Mg 3.16-3.17
Mg (0.5990, 0.3173, 0.0009)  5 Al 2.89-3.17, 7 Mg 3.05-3.19
Mg (0.6840, 0.6840, 0.2857)  5 Al 2.94-3.16, 7 Mg 3.05-3.19
Mg (0.2857, 0.6840, 0.6840)  5 Al 2.94-3.16, 7 Mg 3.05-3.19
Mg (0.0009, 0.5990, 0.3173)  5 Al 2.89-3.17, 7 Mg 3.05-3.19
Mg (0.3173, 0.5990, 0.0009)  5 Al 2.89-3.17, 7 Mg 3.05-3.19
Mg (0.9995, 0.3459, 0.9995)  4 Mg 3.05-3.16, 6 Al 3.10-3.13
Mg (0.3173, 0.0009, 0.5990)  5 Al 2.89-3.17, 7 Mg 3.05-3.19
Mg (0.5990, 0.0009, 0.3173)  5 Al 2.89-3.17, 7 Mg 3.05-3.19
Sn (0.6661, 0.6661, 0.6661)  4 Mg 3.08, 6 Al 3.11

Output
As for the symmetry: R3m. The energy of formation comes out at -0.020 eV per atom. The value obtained for the energy above the lowest structure with this stoichiometry is 4.2 meV per atom. As for the crystal system: trigonal.